# PBE-GGA TeBrO3F5, optimized geometry
# Formation energy from the elements in meV per atom: -1561
data_TeBrO3F5
_chemical_formula_sum 'Te4 Br4 O12 F20'
_symmetry_space_group_name_H-M 'P 1 21/c 1'
_symmetry_Int_Tables_number 14
_cell_length_a 5.430
_cell_length_b 6.403
_cell_length_c 20.172
_cell_angle_alpha 90.00
_cell_angle_beta 90.30
_cell_angle_gamma 90.00
loop_
_symmetry_equiv_pos_as_xyz
'x,y,z'
'-x,-y,-z'
'-x,y+1/2,-z+1/2'
'x,-y+1/2,z+1/2'
loop_
_atom_site_label
_atom_site_type_symbol
_atom_site_fract_x
_atom_site_fract_y
_atom_site_fract_z
Te1 Te 0.248 0.218 0.409
Br1 Br 0.246 0.170 0.741
O1 O 0.047 0.727 0.758
O2 O 0.383 0.187 0.322
O3 O 0.395 0.181 0.190
F1 F 0.047 0.583 0.116
F2 F 0.105 0.024 0.886
F3 F 0.115 0.243 0.494
F4 F 0.384 0.541 0.932
F5 F 0.469 0.645 0.560